Entry 1:
First-principles (r²SCAN) data for a relaxed structure of Cs7Au5O2, as listed in the Materials Project database.

Values from the calculation:
Energy relative to the elements (meV/atom): -699
Crystal system: orthorhombic

Cell and atoms, written as CIF:
```
data_Cs7Au5O2
_chemical_formula_sum 'Cs14 Au10 O4'
_cell_length_a 6.037
_cell_length_b 9.690
_cell_length_c 17.252
_cell_angle_alpha 90.00
_cell_angle_beta 90.00
_cell_angle_gamma 90.00
_symmetry_space_group_name_H-M 'I m m m'
_symmetry_Int_Tables_number 71
_symmetry_space_group_name_Hall '-I 2 2'
loop_
_atom_site_label
_atom_site_type_symbol
_atom_site_fract_x
_atom_site_fract_y
_atom_site_fract_z
Cs1 Cs 0.000 0.000 0.000
Cs2 Cs 0.000 0.209 0.500
Cs3 Cs 0.000 0.281 0.169
Au1 Au 0.000 0.000 0.312
Au2 Au 0.000 0.500 0.000
Au3 Au 0.000 0.500 0.353
O1 O 0.000 0.292 0.000
```

***

Entry 2:
First-principles (r²SCAN) data for a relaxed structure of Cs3Pb4Au, as listed in the Materials Project database.

Values from the calculation:
Energy relative to the elements (meV/atom): -386
Crystal system: orthorhombic

Cell and atoms, written as CIF:
```
data_Cs3Pb4Au
_chemical_formula_sum 'Cs6 Pb8 Au2'
_cell_length_a 7.528
_cell_length_b 14.055
_cell_length_c 6.935
_cell_angle_alpha 90.00
_cell_angle_beta 90.00
_cell_angle_gamma 90.00
_symmetry_space_group_name_H-M 'P m m n'
_symmetry_Int_Tables_number 59
loop_
_symmetry_equiv_pos_as_xyz
'x,y,z'
'-x,-y,-z'
'-x+1/2,-y+1/2,z'
'x+1/2,y+1/2,-z'
'x+1/2,-y,-z'
'-x+1/2,y,z'
'-x,y+1/2,-z'
'x,-y+1/2,z'
loop_
_atom_site_label
_atom_site_type_symbol
_atom_site_fract_x
_atom_site_fract_y
_atom_site_fract_z
Cs1 Cs 0.250 0.003 0.166
Cs2 Cs 0.250 0.250 0.561
Pb1 Pb 0.033 0.750 0.952
Pb2 Pb 0.250 0.635 0.655
Au1 Au 0.250 0.750 0.302
```

***

Entry 3:
First-principles (r²SCAN) data for a relaxed structure of CsRb2Au7, as listed in the Materials Project database.

Values from the calculation:
Energy relative to the elements (meV/atom): -320
Crystal system: orthorhombic

Cell and atoms, written as CIF:
```
data_CsRb2Au7
_chemical_formula_sum 'Cs2 Rb4 Au14'
_cell_length_a 7.303
_cell_length_b 5.688
_cell_length_c 13.498
_cell_angle_alpha 90.00
_cell_angle_beta 90.00
_cell_angle_gamma 90.00
_symmetry_space_group_name_H-M 'A m m 2'
_symmetry_Int_Tables_number 38
_symmetry_space_group_name_Hall 'A 2 -2'
loop_
_atom_site_label
_atom_site_type_symbol
_atom_site_fract_x
_atom_site_fract_y
_atom_site_fract_z
Cs1 Cs 0.000 0.000 0.000
Rb1 Rb 0.000 0.000 0.675
Rb2 Rb 0.500 0.000 0.837
Au1 Au 0.000 0.000 0.335
Au2 Au 0.304 0.000 0.444
Au3 Au 0.305 0.000 0.229
Au4 Au 0.500 0.249 0.587
```

***

Entry 4:
First-principles (r²SCAN) data for a relaxed structure of Cs2Au2Se3, as listed in the Materials Project database.

Values from the calculation:
Energy relative to the elements (meV/atom): -791
Crystal system: monoclinic

Cell and atoms, written as CIF:
```
data_Cs2Au2Se3
_chemical_formula_sum 'Cs8 Au8 Se12'
_cell_length_a 9.837
_cell_length_b 13.555
_cell_length_c 7.405
_cell_angle_alpha 90.00
_cell_angle_beta 91.20
_cell_angle_gamma 90.00
_symmetry_space_group_name_H-M 'C 1 2/c 1'
_symmetry_Int_Tables_number 15
_symmetry_space_group_name_Hall '-C 2yc'
loop_
_atom_site_label
_atom_site_type_symbol
_atom_site_fract_x
_atom_site_fract_y
_atom_site_fract_z
Cs1 Cs 0.238 0.106 0.135
Au1 Au 0.066 0.289 0.459
Se1 Se 0.000 0.418 0.250
Se2 Se 0.109 0.157 0.674
```

***

Entry 5:
First-principles (r²SCAN) data for a relaxed structure of CsTeAu, as listed in the Materials Project database.

Values from the calculation:
Energy relative to the elements (meV/atom): -834
Crystal system: orthorhombic

Cell and atoms, written as CIF:
```
data_CsTeAu
_chemical_formula_sum 'Cs2 Te2 Au2'
_cell_length_a 6.287
_cell_length_b 5.406
_cell_length_c 7.303
_cell_angle_alpha 90.00
_cell_angle_beta 90.00
_cell_angle_gamma 90.00
_symmetry_space_group_name_H-M 'P m m a'
_symmetry_Int_Tables_number 51
_symmetry_space_group_name_Hall '-P 2a 2a'
loop_
_atom_site_label
_atom_site_type_symbol
_atom_site_fract_x
_atom_site_fract_y
_atom_site_fract_z
Cs1 Cs 0.250 0.000 0.214
Te1 Te 0.250 0.500 0.786
Au1 Au 0.000 0.500 0.500
```

***

Entry 6:
First-principles (r²SCAN) data for a relaxed structure of CuAu3, as listed in the Materials Project database.

Values from the calculation:
Energy relative to the elements (meV/atom): -24
Crystal system: cubic

Cell and atoms, written as CIF:
```
data_CuAu3
_chemical_formula_sum 'Cu1 Au3'
_cell_length_a 4.013
_cell_length_b 4.013
_cell_length_c 4.013
_cell_angle_alpha 90.00
_cell_angle_beta 90.00
_cell_angle_gamma 90.00
_symmetry_space_group_name_H-M 'P m -3 m'
_symmetry_Int_Tables_number 221
_symmetry_space_group_name_Hall '-P 4 2 3'
loop_
_atom_site_label
_atom_site_type_symbol
_atom_site_fract_x
_atom_site_fract_y
_atom_site_fract_z
Cu1 Cu 0.000 0.000 0.000
Au1 Au 0.000 0.500 0.500
```